# 1
Ba5Mn3O12F | PBE+U | relaxed

Properties
Magnetic moment = 6.01 μB per formula unit
ΔE_f = -2.575 eV per atom
Space-group type = P6_3/m, No. 176
ρ = 4.59 g/cm3
Polymorph energy (0 for the lowest one) = 0.0 kJ per mole of atoms
V = 769.3 Å³/cell

a = 10.579 Å, b = 10.579 Å, c = 7.937 Å
α = 90.00°, β = 90.00°, γ = 120.00°
Sites, in units of the cell vectors:
O: 0.587 0.123 0.250
O: 0.877 0.464 0.250
Ba: 0.333 0.667 0.502
Mn: 0.398 0.028 0.250
Ba: 0.252 0.008 0.750
O: 0.158 0.483 0.250
O: 0.483 0.326 0.750
O: 0.914 0.257 0.077
O: 0.413 0.877 0.750
O: 0.674 0.158 0.750
Ba: 0.243 0.252 0.250
O: 0.536 0.413 0.250
Ba: 0.992 0.243 0.750
Mn: 0.602 0.972 0.750
O: 0.123 0.536 0.750
O: 0.343 0.086 0.423
O: 0.086 0.743 0.577
F: 0.000 0.000 0.250
Ba: 0.008 0.757 0.250
O: 0.517 0.674 0.250
O: 0.743 0.657 0.423
Ba: 0.667 0.333 0.002
O: 0.657 0.914 0.923
Ba: 0.667 0.333 0.498
O: 0.464 0.587 0.750
O: 0.914 0.257 0.423
O: 0.743 0.657 0.077
Mn: 0.972 0.370 0.250
F: 0.000 0.000 0.750
Ba: 0.333 0.667 0.998
Mn: 0.370 0.398 0.750
O: 0.257 0.343 0.923
Ba: 0.757 0.748 0.750
O: 0.257 0.343 0.577
O: 0.842 0.517 0.750
O: 0.343 0.086 0.077
O: 0.657 0.914 0.577
O: 0.326 0.842 0.250
Mn: 0.630 0.602 0.250
Ba: 0.748 0.992 0.250
O: 0.086 0.743 0.923
Mn: 0.028 0.630 0.750



# 2
Li3MnOF3 | PBE+U | relaxed

Properties
Magnetic moment = 5.00 μB per formula unit
ΔE_f = -2.770 eV per atom
Space-group type = C2/m, No. 12
ρ = 3.15 g/cm3
V = 157.0 Å³/cell

a = 5.203 Å, b = 5.203 Å, c = 10.474 Å
α = 79.61°, β = 79.61°, γ = 34.31°
Sites, in units of the cell vectors:
Li: 0.250 0.250 0.886
F: 0.126 0.126 0.059
F: 0.624 0.624 0.826
Mn: 0.257 0.257 0.380
F: 0.370 0.370 0.710
O: 0.880 0.880 0.432
Li: 0.999 0.999 0.749
F: 0.874 0.874 0.941
O: 0.120 0.120 0.568
F: 0.630 0.630 0.290
Li: 0.001 0.001 0.251
F: 0.376 0.376 0.174
Li: 0.500 0.500 0.000
Li: 0.750 0.750 0.114
Li: 0.500 0.500 0.500
Mn: 0.743 0.743 0.620



# 3
Mn2PO4F | PBE+U | relaxed

Properties
Magnetic moment = 10.00 μB per formula unit
ΔE_f = -2.653 eV per atom
Space-group type = C2/c, No. 15
ρ = 3.73 g/cm3
V = 398.3 Å³/cell

a = 7.570 Å, b = 7.570 Å, c = 10.242 Å
α = 63.13°, β = 63.13°, γ = 51.70°
Sites, in units of the cell vectors:
P: 0.230 0.418 0.806
O: 0.649 0.086 0.355
O: 0.066 0.355 0.812
O: 0.645 0.934 0.688
Mn: 0.260 0.051 0.149
O: 0.225 0.388 0.417
F: 0.889 0.083 0.892
O: 0.775 0.612 0.583
Mn: 0.051 0.260 0.649
Mn: 0.740 0.949 0.851
O: 0.086 0.649 0.855
Mn: 0.677 0.211 0.495
O: 0.612 0.775 0.083
F: 0.083 0.889 0.392
F: 0.917 0.111 0.608
P: 0.770 0.582 0.194
O: 0.621 0.548 0.358
O: 0.351 0.914 0.645
O: 0.355 0.066 0.312
P: 0.582 0.770 0.694
O: 0.388 0.225 0.917
P: 0.418 0.230 0.306
Mn: 0.789 0.323 0.005
F: 0.111 0.917 0.108
O: 0.452 0.379 0.142
O: 0.914 0.351 0.145
O: 0.379 0.452 0.642
Mn: 0.323 0.789 0.505
Mn: 0.949 0.740 0.351
O: 0.548 0.621 0.858
Mn: 0.211 0.677 0.995
O: 0.934 0.645 0.188



# 4
Sr2ZrCoO6 | PBE+U | relaxed

Properties
Magnetic moment = 3.22 μB per formula unit
ΔE_f = -2.698 eV per atom
Space-group type = Fm-3m, No. 225
ρ = 5.58 g/cm3
V = 125.4 Å³/cell

a = 5.618 Å, b = 5.618 Å, c = 5.618 Å
α = 60.00°, β = 60.00°, γ = 60.00°
Sites, in units of the cell vectors:
Sr: 0.250 0.250 0.250
O: 0.764 0.236 0.764
Co: 0.000 0.000 0.000
Sr: 0.750 0.750 0.750
O: 0.236 0.236 0.764
O: 0.764 0.764 0.236
O: 0.764 0.236 0.236
Zr: 0.500 0.500 0.500
O: 0.236 0.764 0.236
O: 0.236 0.764 0.764



# 5
MgNb2Co2O8 | PBE+U | relaxed

Properties
Magnetic moment = 6.00 μB per formula unit
ΔE_f = -2.436 eV per atom
Space-group type = Cm, No. 8
ρ = 4.34 g/cm3
V = 174.5 Å³/cell

a = 3.904 Å, b = 6.668 Å, c = 7.308 Å
α = 105.67°, β = 90.00°, γ = 107.02°
Sites, in units of the cell vectors:
O: 0.724 0.448 0.796
O: 0.116 0.232 0.465
O: 0.926 0.852 0.111
O: 0.833 0.667 0.511
O: 0.369 0.738 0.812
Mg: 0.663 0.326 0.515
O: 0.045 0.091 0.877
Nb: 0.082 0.164 0.187
Co: 0.800 0.600 0.221
Co: 0.200 0.401 0.858
O: 0.240 0.481 0.148
Nb: 0.887 0.774 0.779
O: 0.613 0.227 0.220



# 6
YCu3Mo4O12 | PBE+U | relaxed

Properties
Magnetic moment = 6.00 μB per formula unit
ΔE_f = -1.886 eV per atom
Space-group type = P-1, No. 2
ρ = 6.20 g/cm3
V = 229.1 Å³/cell

a = 6.677 Å, b = 6.672 Å, c = 6.676 Å
α = 109.48°, β = 109.41°, γ = 109.49°
Sites, in units of the cell vectors:
O: 0.705 0.532 0.837
Y: 0.000 0.000 0.000
O: 0.471 0.164 0.296
O: 0.703 0.867 0.165
O: 0.165 0.702 0.867
Mo: 0.500 0.500 0.500
Cu: 0.500 0.000 0.500
O: 0.297 0.133 0.835
Cu: 0.000 0.500 0.500
O: 0.295 0.468 0.163
Cu: 0.500 0.500 0.000
O: 0.134 0.836 0.297
O: 0.529 0.836 0.704
O: 0.162 0.295 0.469
Mo: 0.000 0.000 0.500
Mo: 0.500 0.000 0.000
Mo: 0.000 0.500 0.000
O: 0.838 0.705 0.531
O: 0.835 0.298 0.133
O: 0.866 0.164 0.703